Arrangement w

The following is a PBE calculation of a geometry-optimized CaB4O7 structure, from Materials Project.

a = 10.721 Å, b = 4.415 Å, c = 4.235 Å
α = 90.00°, β = 90.00°, γ = 90.00°
Space group Pmn2_1 (No. 31)
Unique sites:
Ca 0.000 0.190 0.000 (multiplicity 2)
B 0.121 0.673 0.505 (multiplicity 4)
B 0.249 0.822 0.029 (multiplicity 4)
O 0.000 0.778 0.615 (multiplicity 2)
O 0.134 0.727 0.166 (multiplicity 4)
O 0.139 0.353 0.581 (multiplicity 4)
O 0.223 0.865 0.671 (multiplicity 4)

## Properties
* calculated density: 3.2 Mg/m³
* largest piezoelectric modulus: 1.670 C/m²


Arrangement x

The following is a PBE calculation of a geometry-optimized CaB4O7 structure, from Materials Project.

a = 7.915 Å, b = 9.971 Å, c = 14.552 Å
α = 90.00°, β = 120.96°, γ = 90.00°
Space group P2_1/c (No. 14)
Unique sites:
Ca 0.011 0.115 0.345 (multiplicity 4)
Ca 0.358 0.083 0.062 (multiplicity 4)
B 0.084 0.569 0.682 (multiplicity 4)
B 0.131 0.709 0.553 (multiplicity 4)
B 0.224 0.179 0.209 (multiplicity 4)
B 0.225 0.110 0.803 (multiplicity 4)
B 0.275 0.671 0.869 (multiplicity 4)
B 0.291 0.586 0.036 (multiplicity 4)
B 0.301 0.108 0.654 (multiplicity 4)
B 0.438 0.708 0.542 (multiplicity 4)
O 0.003 0.148 0.924 (multiplicity 4)
O 0.073 0.027 0.802 (multiplicity 4)
O 0.126 0.654 0.045 (multiplicity 4)
O 0.155 0.248 0.265 (multiplicity 4)
O 0.196 0.048 0.179 (multiplicity 4)
O 0.218 0.576 0.917 (multiplicity 4)
O 0.218 0.668 0.762 (multiplicity 4)
O 0.264 0.636 0.540 (multiplicity 4)
O 0.271 0.039 0.726 (multiplicity 4)
O 0.310 0.053 0.571 (multiplicity 4)
O 0.313 0.248 0.661 (multiplicity 4)
O 0.388 0.720 0.428 (multiplicity 4)
O 0.399 0.112 0.911 (multiplicity 4)
O 0.467 0.664 0.092 (multiplicity 4)

## Properties
* calculated density: 2.6 Mg/m³


The relative energies come out as arrangement w 3.0; arrangement x 0.0, with values in kJ/mol of atoms.


Arrangement w

The following is a PBE calculation of a geometry-optimized CaB2O8 structure, from Materials Project.

a = 6.050 Å, b = 7.191 Å, c = 7.370 Å
α = 75.17°, β = 68.59°, γ = 72.72°
Space group P-1 (No. 2)
Unique sites:
Ca 0.189 0.261 0.288 (multiplicity 2)
B 0.183 0.996 0.736 (multiplicity 2)
B 0.391 0.437 0.758 (multiplicity 2)
O 0.023 0.088 0.144 (multiplicity 2)
O 0.097 0.207 0.684 (multiplicity 2)
O 0.207 0.515 0.663 (multiplicity 2)
O 0.229 0.950 0.541 (multiplicity 2)
O 0.284 0.452 0.965 (multiplicity 2)
O 0.393 0.918 0.797 (multiplicity 2)
O 0.410 0.465 0.325 (multiplicity 2)
O 0.493 0.225 0.781 (multiplicity 2)

## Properties
* calculated density: 2.2 Mg/m³


Arrangement x

The following is a PBE calculation of a geometry-optimized CaB2O8 structure, from Materials Project.

a = 7.881 Å, b = 12.777 Å, c = 5.614 Å
α = 90.00°, β = 90.00°, γ = 90.00°
Space group Pban (No. 50, origin choice 2)
Unique sites:
Ca 0.250 0.029 0.000 (multiplicity 4)
B 0.042 0.642 0.284 (multiplicity 8)
O 0.060 0.629 0.031 (multiplicity 8)
O 0.106 0.749 0.620 (multiplicity 8)
O 0.130 0.554 0.370 (multiplicity 8)
O 0.138 0.140 0.294 (multiplicity 8)

## Properties
* calculated density: 2.2 Mg/m³


The relative energies come out as arrangement w 0.0; arrangement x 23.4, with values in kJ/mol of atoms.


Arrangement w

The following is a PBE calculation of a geometry-optimized CaB2O10 structure, from Materials Project.

a = 12.394 Å, b = 7.024 Å, c = 10.619 Å
α = 90.00°, β = 110.55°, γ = 90.00°
Space group P2/c (No. 13)
Unique sites:
Ca 0.000 0.043 0.250 (multiplicity 2)
B 0.099 0.254 0.557 (multiplicity 4)
O 0.081 0.435 0.593 (multiplicity 4)
O 0.099 0.200 0.436 (multiplicity 4)
O 0.114 0.136 0.664 (multiplicity 4)
O 0.148 0.250 0.975 (multiplicity 4)
O 0.232 0.195 0.067 (multiplicity 4)

## Properties
* calculated density: 0.9 Mg/m³


Arrangement x

The following is a PBE calculation of a geometry-optimized CaB2O10 structure, from Materials Project.

a = 15.829 Å, b = 6.214 Å, c = 8.857 Å
α = 90.00°, β = 110.82°, γ = 90.00°
Space group C2/c (No. 15)
Unique sites:
Ca 0.000 0.070 0.250 (multiplicity 4)
B 0.051 0.346 0.944 (multiplicity 8)
O 0.014 0.278 0.488 (multiplicity 8)
O 0.070 0.436 0.431 (multiplicity 8)
O 0.090 0.190 0.894 (multiplicity 8)
O 0.183 0.237 0.273 (multiplicity 8)
O 0.239 0.196 0.702 (multiplicity 8)

## Properties
* calculated density: 1.8 Mg/m³


Arrangement y

The following is a PBE calculation of a geometry-optimized CaB2O10 structure, from Materials Project.

a = 13.730 Å, b = 5.750 Å, c = 8.768 Å
α = 90.00°, β = 90.67°, γ = 90.00°
Space group C2/c (No. 15)
Unique sites:
Ca 0.000 0.141 0.250 (multiplicity 4)
B 0.094 0.327 0.914 (multiplicity 8)
O 0.005 0.244 0.554 (multiplicity 8)
O 0.098 0.444 0.356 (multiplicity 8)
O 0.129 0.144 0.817 (multiplicity 8)
O 0.134 0.263 0.062 (multiplicity 8)
O 0.240 0.255 0.433 (multiplicity 8)

## Properties
* calculated density: 2.1 Mg/m³


Arrangement z

The following is a PBE calculation of a geometry-optimized CaB2O10 structure, from Materials Project.

a = 8.355 Å, b = 5.966 Å, c = 7.502 Å
α = 90.00°, β = 96.33°, γ = 90.00°
Space group P2/c (No. 13)
Unique sites:
Ca 0.000 0.137 0.250 (multiplicity 2)
B 0.131 0.372 0.640 (multiplicity 4)
O 0.086 0.182 0.574 (multiplicity 4)
O 0.169 0.440 0.208 (multiplicity 4)
O 0.411 0.238 0.031 (multiplicity 4)
O 0.426 0.096 0.739 (multiplicity 4)
O 0.442 0.258 0.446 (multiplicity 4)

## Properties
* calculated density: 2.0 Mg/m³


The relative energies come out as arrangement w 28.5; arrangement x 7.8; arrangement y 48.9; arrangement z 0.0, with values in kJ/mol of atoms.


Arrangement w

The following is a PBE calculation of a geometry-optimized CaB2O10 structure, from Materials Project.

a = 13.161 Å, b = 6.738 Å, c = 8.604 Å
α = 90.00°, β = 105.47°, γ = 90.00°
Space group C2/c (No. 15)
Unique sites:
Ca 0.000 0.058 0.250 (multiplicity 4)
B 0.095 0.337 0.966 (multiplicity 8)
O 0.010 0.203 0.973 (multiplicity 8)
O 0.121 0.132 0.942 (multiplicity 8)
O 0.126 0.486 0.479 (multiplicity 8)
O 0.174 0.253 0.267 (multiplicity 8)
O 0.232 0.206 0.684 (multiplicity 8)

## Properties
* calculated density: 2.0 Mg/m³


Arrangement x

The following is a PBE calculation of a geometry-optimized CaB2O10 structure, from Materials Project.

a = 7.563 Å, b = 5.902 Å, c = 9.499 Å
α = 90.00°, β = 106.99°, γ = 90.00°
Space group P2/c (No. 13)
Unique sites:
Ca 0.000 0.072 0.250 (multiplicity 2)
B 0.106 0.354 0.617 (multiplicity 4)
O 0.003 0.261 0.019 (multiplicity 4)
O 0.120 0.411 0.142 (multiplicity 4)
O 0.187 0.205 0.717 (multiplicity 4)
O 0.395 0.283 0.433 (multiplicity 4)
O 0.451 0.208 0.062 (multiplicity 4)

## Properties
* calculated density: 1.8 Mg/m³


Arrangement y

The following is a PBE calculation of a geometry-optimized CaB2O10 structure, from Materials Project.

a = 6.106 Å, b = 5.726 Å, c = 8.973 Å
α = 90.00°, β = 98.14°, γ = 90.00°
Space group P2/c (No. 13)
Unique sites:
Ca 0.000 0.136 0.250 (multiplicity 2)
B 0.263 0.341 0.565 (multiplicity 4)
O 0.034 0.254 0.548 (multiplicity 4)
O 0.217 0.165 0.674 (multiplicity 4)
O 0.311 0.430 0.131 (multiplicity 4)
O 0.356 0.270 0.434 (multiplicity 4)
O 0.400 0.272 0.030 (multiplicity 4)

## Properties
* calculated density: 2.4 Mg/m³


The relative energies come out as arrangement w 25.7; arrangement x 0.0; arrangement y 35.1, with values in kJ/mol of atoms.